First-principles (GGA-PBE) data for crystalline Na5Sc3NbSiP5O24 at its relaxed geometry, as listed in Materials Project.

abc: 8.9976 8.9999 22.7644
angles: 90.01 90.02 119.93
Last column: nearest neighbours and their distance in Å.
Space group P1 (No. 1)
Asymmetric unit:
1 Na 0.0000 0.0000 0.0000 (multiplicity 1)  6 O 2.47-2.74
2 Na 0.0003 0.3659 0.7532 (multiplicity 1)  6 O 2.55-2.65
3 Na 0.3002 0.6901 0.3355 (multiplicity 1)  4 O 2.34-2.59
4 Na 0.3275 0.0320 0.4237 (multiplicity 1)  4 O 2.45-2.72
5 Na 0.3317 0.6631 0.6658 (multiplicity 1)  4 O 2.40-2.58
6 Na 0.3347 0.0315 0.9155 (multiplicity 1)  6 O 2.60-2.65
7 Na 0.3359 0.4008 0.1688 (multiplicity 1)  5 O 2.38-2.62
8 Na 0.3646 0.7277 0.9998 (multiplicity 1)  5 O 2.46-2.73
9 Na 0.6367 0.3640 0.9995 (multiplicity 1)  5 O 2.47-2.72
10 Na 0.6711 0.6978 0.5822 (multiplicity 1)  6 O 2.59-2.72
11 Na 0.6754 0.3376 0.3367 (multiplicity 1)  3 O 2.33-2.47
12 Na 0.6748 0.7047 0.0874 (multiplicity 1)  6 O 2.51-2.73
13 Na 0.7025 0.3996 0.6657 (multiplicity 1)  5 O 2.45-2.71
14 Na 0.9672 0.0271 0.6645 (multiplicity 1)  5 O 2.42-2.65
15 Na 0.9941 0.3532 0.2522 (multiplicity 1)  6 O 2.51-2.70
16 Sc 0.0005 0.3543 0.3999 (multiplicity 1)  5 O 1.99-2.11
17 Sc 0.9997 0.3641 0.8962 (multiplicity 1)  6 O 2.09-2.11
18 Sc 0.0000 0.3670 0.5981 (multiplicity 1)  6 O 2.04-2.25
19 Sc 0.3286 0.0275 0.5626 (multiplicity 1)  6 O 1.99-2.14
20 Sc 0.3329 0.0281 0.0679 (multiplicity 1)  6 O 2.02-2.18
21 Sc 0.6669 0.6966 0.9307 (multiplicity 1)  6 O 2.05-2.19
22 Sc 0.6702 0.6969 0.7350 (multiplicity 1)  6 O 2.03-2.17
23 Sc 0.6704 0.7051 0.2324 (multiplicity 1)  5 O 1.94-2.16
24 Sc 0.9937 0.3634 0.1041 (multiplicity 1)  6 O 2.06-2.18
25 Nb 0.3300 0.0251 0.7714 (multiplicity 1)  6 O 1.91-2.06
26 Nb 0.3328 0.0322 0.2714 (multiplicity 1)  6 O 1.98-2.06
27 Nb 0.6627 0.6964 0.4379 (multiplicity 1)  6 O 1.96-2.08
28 Si 0.0395 0.7369 0.6658 (multiplicity 1)  4 O 1.60-1.70
29 Si 0.3738 0.4083 0.3320 (multiplicity 1)  4 O 1.61-1.68
30 Si 0.6734 0.9910 0.3328 (multiplicity 1)  4 O 1.59-1.71
31 P 0.0001 0.0690 0.5008 (multiplicity 1)  4 O 1.53-1.59
32 P 0.9997 0.6547 0.0001 (multiplicity 1)  4 O 1.53-1.57
33 P 0.0396 0.0278 0.1659 (multiplicity 1)  4 O 1.52-1.60
34 P 0.2918 0.3642 0.0009 (multiplicity 1)  4 O 1.53-1.57
35 P 0.2932 0.6579 0.4994 (multiplicity 1)  4 O 1.53-1.60
36 P 0.3343 0.3196 0.6672 (multiplicity 1)  4 O 1.53-1.58
37 P 0.3336 0.7374 0.1666 (multiplicity 1)  4 O 1.54-1.58
38 P 0.3720 0.6957 0.8331 (multiplicity 1)  4 O 1.53-1.59
39 P 0.6220 0.0294 0.6671 (multiplicity 1)  4 O 1.52-1.58
40 P 0.6267 0.3225 0.1668 (multiplicity 1)  4 O 1.53-1.60
41 P 0.6667 0.4012 0.8333 (multiplicity 1)  4 O 1.53-1.58
42 P 0.7055 0.3637 0.4994 (multiplicity 1)  4 O 1.53-1.59
43 P 0.7095 0.0725 0.0001 (multiplicity 1)  4 O 1.53-1.57
44 P 0.9550 0.6985 0.3335 (multiplicity 1)  4 O 1.52-1.58
45 P 0.9614 0.9932 0.8333 (multiplicity 1)  4 O 1.53-1.59
46 O 0.0231 0.1801 0.4470 (multiplicity 1)  1 P 1.53
47 O 0.0267 0.5489 0.6638 (multiplicity 1)  1 Si 1.64
48 O 0.0335 0.5731 0.9463 (multiplicity 1)  1 P 1.53
49 O 0.0372 0.1986 0.1635 (multiplicity 1)  1 P 1.55
50 O 0.1257 0.0074 0.1101 (multiplicity 1)  1 P 1.55
51 O 0.1312 0.8663 0.6121 (multiplicity 1)  1 Si 1.60
52 O 0.1399 0.8607 0.3254 (multiplicity 1)  1 P 1.58
53 O 0.1445 0.0096 0.8255 (multiplicity 1)  1 P 1.59
54 O 0.1589 0.0481 0.5052 (multiplicity 1)  1 P 1.53
55 O 0.1613 0.8375 0.0063 (multiplicity 1)  1 P 1.57
56 O 0.1635 0.0535 0.2200 (multiplicity 1)  1 P 1.60
57 O 0.1690 0.3325 0.6633 (multiplicity 1)  1 P 1.55
58 O 0.1702 0.8391 0.7236 (multiplicity 1)  1 Si 1.70
59 O 0.1718 0.5573 0.1634 (multiplicity 1)  1 P 1.55
60 O 0.1751 0.3316 0.9476 (multiplicity 1)  1 P 1.53
61 O 0.1880 0.5748 0.4440 (multiplicity 1)  1 P 1.53
62 O 0.1895 0.3936 0.3403 (multiplicity 1)  1 Si 1.61
63 O 0.1921 0.5403 0.8394 (multiplicity 1)  1 P 1.53
64 O 0.2136 0.3961 0.0570 (multiplicity 1)  1 P 1.55
65 O 0.2177 0.5486 0.5558 (multiplicity 1)  1 P 1.55
66 O 0.3078 0.2012 0.7221 (multiplicity 1)  1 P 1.58
67 O 0.3115 0.8320 0.2217 (multiplicity 1)  1 P 1.58
68 O 0.3139 0.2026 0.0063 (multiplicity 1)  1 P 1.57
69 O 0.3199 0.8393 0.5054 (multiplicity 1)  1 P 1.53
70 O 0.3571 0.8458 0.1112 (multiplicity 1)  1 P 1.54
71 O 0.3586 0.8646 0.8259 (multiplicity 1)  1 P 1.59
72 O 0.3631 0.2174 0.3252 (multiplicity 1)  1 Si 1.68
73 O 0.3711 0.2406 0.6137 (multiplicity 1)  1 P 1.53
74 O 0.4562 0.6744 0.7776 (multiplicity 1)  1 P 1.53
75 O 0.4592 0.5189 0.2736 (multiplicity 1)  1 Si 1.61
76 O 0.4745 0.5262 0.9943 (multiplicity 1)  1 P 1.57
77 O 0.4767 0.6723 0.4925 (multiplicity 1)  1 P 1.60
78 O 0.4822 0.7288 0.8892 (multiplicity 1)  1 P 1.55
79 O 0.4894 0.9996 0.3252 (multiplicity 1)  1 Si 1.71
80 O 0.4918 0.5014 0.6753 (multiplicity 1)  1 P 1.55
81 O 0.4919 0.7150 0.1713 (multiplicity 1)  1 P 1.54
82 O 0.5011 0.2202 0.8253 (multiplicity 1)  1 P 1.58
83 O 0.5069 0.4990 0.3888 (multiplicity 1)  1 Si 1.67
84 O 0.5078 0.9978 0.6137 (multiplicity 1)  1 P 1.52
85 O 0.5135 0.2383 0.1119 (multiplicity 1)  1 P 1.55
86 O 0.5264 0.0511 0.0065 (multiplicity 1)  1 P 1.57
87 O 0.5255 0.2072 0.5057 (multiplicity 1)  1 P 1.53
88 O 0.5297 0.2046 0.2222 (multiplicity 1)  1 P 1.60
89 O 0.5329 0.0596 0.7222 (multiplicity 1)  1 P 1.58
90 O 0.6319 0.8593 0.3898 (multiplicity 1)  1 Si 1.67
91 O 0.6349 0.4800 0.8893 (multiplicity 1)  1 P 1.55
92 O 0.6355 0.4965 0.1730 (multiplicity 1)  1 P 1.53
93 O 0.6404 0.8683 0.6752 (multiplicity 1)  1 P 1.55
94 O 0.6884 0.8896 0.9940 (multiplicity 1)  1 P 1.57
95 O 0.6900 0.5095 0.7781 (multiplicity 1)  1 P 1.54
96 O 0.6919 0.5320 0.4924 (multiplicity 1)  1 P 1.59
97 O 0.6966 0.9017 0.2761 (multiplicity 1)  1 Si 1.59
98 O 0.7903 0.3426 0.4441 (multiplicity 1)  1 P 1.53
99 O 0.7909 0.1877 0.9464 (multiplicity 1)  1 P 1.53
100 O 0.8023 0.1917 0.6635 (multiplicity 1)  1 P 1.55
101 O 0.8019 0.3342 0.1638 (multiplicity 1)  1 P 1.53
102 O 0.8152 0.3952 0.5559 (multiplicity 1)  1 P 1.56
103 O 0.8234 0.1870 0.3399 (multiplicity 1)  1 Si 1.61
104 O 0.8240 0.1541 0.0547 (multiplicity 1)  1 P 1.55
105 O 0.8249 0.3804 0.8394 (multiplicity 1)  1 P 1.53
106 O 0.8348 0.8865 0.4919 (multiplicity 1)  1 P 1.59
107 O 0.8379 0.6760 0.9941 (multiplicity 1)  1 P 1.57
108 O 0.8435 0.6640 0.2793 (multiplicity 1)  1 P 1.52
109 O 0.8499 0.7172 0.6739 (multiplicity 1)  1 Si 1.64
110 O 0.8545 0.9086 0.7780 (multiplicity 1)  1 P 1.54
111 O 0.8646 0.8685 0.1719 (multiplicity 1)  1 P 1.52
112 O 0.8720 0.7304 0.3884 (multiplicity 1)  1 P 1.55
113 O 0.8849 0.8823 0.8892 (multiplicity 1)  1 P 1.55
114 O 0.9672 0.1437 0.5576 (multiplicity 1)  1 P 1.55
115 O 0.9668 0.5402 0.0546 (multiplicity 1)  1 P 1.54
116 O 0.9829 0.5442 0.3415 (multiplicity 1)  1 P 1.54
117 O 0.9846 0.1727 0.8395 (multiplicity 1)  1 P 1.53

Calculated total energy: -7.4011 eV/atom
E_form: -3.030 eV/atom